[1]
# Li7V3P8O29, optimized geometry, DFT GGA+U
# Space-group type: P1
# Total magnetic moment: 3.000 μB per formula unit
# Calculated formation energy: -2675 meV/atom
data_Li7V3P8O29
_chemical_formula_sum 'Li14 V6 P16 O58'
_cell_length_a 9.832
_cell_length_b 9.848
_cell_length_c 13.898
_cell_angle_alpha 90.72
_cell_angle_beta 90.75
_cell_angle_gamma 60.30
_space_group_name_H-M_alt 'P 1'
_space_group_IT_number 1
loop_
_space_group_symop_operation_xyz
'x,y,z'
loop_
_atom_site_label
_atom_site_fract_x
_atom_site_fract_y
_atom_site_fract_z
_atom_site_occupancy
Li1 0.906 0.326 0.565 1
Li2 0.666 0.681 0.385 1
Li3 0.675 0.670 0.885 1
Li4 0.766 0.322 0.063 1
Li5 0.326 0.909 0.065 1
Li6 0.671 0.236 0.440 1
Li7 0.329 0.764 0.564 1
Li8 0.657 0.103 0.936 1
Li9 0.235 0.666 0.936 1
Li10 0.331 0.329 0.615 1
Li11 0.093 0.674 0.436 1
Li12 0.103 0.233 0.939 1
Li13 0.979 0.963 0.003 1
Li14 0.999 0.995 0.508 1
V1 0.563 0.435 0.248 1
V2 0.434 0.565 0.752 1
V3 0.567 0.997 0.745 1
V4 0.435 0.005 0.254 1
V5 0.997 0.565 0.247 1
V6 0.002 0.436 0.751 1
P1 0.913 0.781 0.838 1
P2 0.783 0.915 0.339 1
P3 0.908 0.317 0.345 1
P4 0.664 0.666 0.128 1
P5 0.664 0.665 0.626 1
P6 0.773 0.320 0.844 1
P7 0.681 0.226 0.657 1
P8 0.319 0.913 0.848 1
P9 0.687 0.084 0.152 1
P10 0.319 0.776 0.343 1
P11 0.225 0.687 0.158 1
P12 0.331 0.337 0.372 1
P13 0.339 0.327 0.874 1
P14 0.089 0.684 0.651 1
P15 0.221 0.084 0.658 1
P16 0.085 0.225 0.160 1
O1 0.012 0.767 0.559 1
O2 0.922 0.747 0.341 1
O3 0.770 0.014 0.060 1
O4 0.746 0.924 0.841 1
O5 0.898 0.631 0.836 1
O6 0.812 0.666 0.175 1
O7 0.895 0.480 0.333 1
O8 0.997 0.225 0.071 1
O9 0.923 0.331 0.847 1
O10 0.662 0.813 0.675 1
O11 0.631 0.902 0.331 1
O12 0.812 0.517 0.663 1
O13 0.664 0.669 0.021 1
O14 0.663 0.673 0.518 1
O15 0.673 0.511 0.164 1
O16 0.483 0.895 0.833 1
O17 0.514 0.812 0.170 1
O18 0.738 0.343 0.338 1
O19 0.786 0.216 0.750 1
O20 0.771 0.228 0.569 1
O21 0.763 0.234 0.932 1
O22 0.631 0.485 0.833 1
O23 0.514 0.668 0.662 1
O24 0.662 0.252 0.162 1
O25 0.482 0.628 0.329 1
O26 0.345 0.917 0.342 1
O27 0.802 0.987 0.239 1
O28 0.789 0.014 0.420 1
O29 0.211 0.987 0.578 1
O30 0.664 0.080 0.658 1
O31 0.517 0.372 0.667 1
O32 0.333 0.751 0.847 1
O33 0.480 0.337 0.334 1
O34 0.383 0.533 0.172 1
O35 0.223 0.775 0.069 1
O36 0.234 0.770 0.430 1
O37 0.210 0.794 0.250 1
O38 0.252 0.670 0.661 1
O39 0.485 0.181 0.824 1
O40 0.534 0.081 0.167 1
O41 0.334 0.479 0.839 1
O42 0.357 0.309 0.981 1
O43 0.333 0.337 0.479 1
O44 0.180 0.486 0.333 1
O45 0.373 0.097 0.664 1
O46 0.333 0.190 0.325 1
O47 0.089 0.655 0.161 1
O48 0.986 0.793 0.738 1
O49 0.012 0.790 0.919 1
O50 0.109 0.519 0.664 1
O51 0.190 0.325 0.836 1
O52 0.093 0.377 0.172 1
O53 0.250 0.080 0.163 1
O54 0.238 0.003 0.938 1
O55 0.209 0.009 0.759 1
O56 0.080 0.251 0.657 1
O57 0.983 0.233 0.436 1
O58 0.996 0.210 0.253 1

***

[2]
# Li9V3P8O29, optimized geometry, DFT GGA+U
# Space-group type: P1
# Total magnetic moment: 6.000 μB per formula unit
# Calculated formation energy: -2705 meV/atom
data_Li9V3P8O29
_chemical_formula_sum 'Li18 V6 P16 O58'
_cell_length_a 9.843
_cell_length_b 9.862
_cell_length_c 13.712
_cell_angle_alpha 90.04
_cell_angle_beta 90.22
_cell_angle_gamma 119.88
_space_group_name_H-M_alt 'P 1'
_space_group_IT_number 1
loop_
_space_group_symop_operation_xyz
'x,y,z'
loop_
_atom_site_label
_atom_site_fract_x
_atom_site_fract_y
_atom_site_fract_z
_atom_site_occupancy
Li1 0.759 0.096 0.072 1
Li2 0.898 0.238 0.562 1
Li3 0.341 0.100 0.562 1
Li4 0.658 0.317 0.377 1
Li5 0.668 0.334 0.882 1
Li6 0.332 0.231 0.067 1
Li7 0.901 0.667 0.065 1
Li8 0.237 0.340 0.432 1
Li9 0.761 0.660 0.564 1
Li10 0.099 0.333 0.938 1
Li11 0.668 0.766 0.939 1
Li12 0.332 0.666 0.618 1
Li13 0.347 0.685 0.123 1
Li14 0.656 0.902 0.425 1
Li15 0.105 0.764 0.433 1
Li16 0.566 0.999 0.249 1
Li17 0.235 0.902 0.940 1
Li18 0.999 0.997 0.005 1
V1 0.436 0.436 0.248 1
V2 0.565 0.564 0.751 1
V3 0.999 0.435 0.750 1
V4 0.002 0.565 0.250 1
V5 0.436 0.001 0.751 1
V6 0.001 0.003 0.496 1
P1 0.775 0.090 0.846 1
P2 0.910 0.221 0.345 1
P3 0.315 0.092 0.345 1
P4 0.671 0.334 0.125 1
P5 0.667 0.334 0.623 1
P6 0.316 0.226 0.845 1
P7 0.222 0.311 0.655 1
P8 0.911 0.685 0.845 1
P9 0.088 0.315 0.156 1
P10 0.779 0.688 0.343 1
P11 0.684 0.775 0.154 1
P12 0.333 0.662 0.376 1
P13 0.333 0.666 0.876 1
P14 0.689 0.911 0.655 1
P15 0.089 0.778 0.655 1
P16 0.227 0.907 0.155 1
O1 0.789 0.003 0.566 1
O2 0.750 0.081 0.349 1
O3 0.994 0.227 0.066 1
O4 0.924 0.251 0.845 1
O5 0.630 0.110 0.835 1
O6 0.682 0.195 0.160 1
O7 0.474 0.108 0.346 1
O8 0.219 0.000 0.068 1
O9 0.328 0.077 0.846 1
O10 0.810 0.323 0.663 1
O11 0.903 0.375 0.336 1
O12 0.513 0.190 0.662 1
O13 0.677 0.356 0.015 1
O14 0.668 0.336 0.513 1
O15 0.521 0.333 0.165 1
O16 0.891 0.520 0.833 1
O17 0.819 0.489 0.170 1
O18 0.322 0.252 0.342 1
O19 0.212 0.212 0.750 1
O20 0.215 0.212 0.567 1
O21 0.226 0.231 0.934 1
O22 0.480 0.371 0.834 1
O23 0.676 0.487 0.664 1
O24 0.251 0.331 0.153 1
O25 0.631 0.528 0.340 1
O26 0.926 0.671 0.345 1
O27 0.002 0.211 0.250 1
O28 0.009 0.223 0.434 1
O29 0.997 0.784 0.566 1
O30 0.074 0.326 0.655 1
O31 0.369 0.473 0.661 1
O32 0.750 0.674 0.845 1
O33 0.320 0.507 0.337 1
O34 0.521 0.627 0.167 1
O35 0.773 0.762 0.066 1
O36 0.790 0.790 0.433 1
O37 0.790 0.787 0.250 1
O38 0.673 0.748 0.655 1
O39 0.189 0.514 0.835 1
O40 0.105 0.479 0.168 1
O41 0.487 0.675 0.836 1
O42 0.332 0.664 0.986 1
O43 0.309 0.654 0.485 1
O44 0.481 0.803 0.341 1
O45 0.103 0.630 0.662 1
O46 0.182 0.665 0.331 1
O47 0.673 0.920 0.152 1
O48 0.788 0.001 0.750 1
O49 0.772 0.995 0.934 1
O50 0.527 0.896 0.660 1
O51 0.325 0.811 0.836 1
O52 0.368 0.887 0.161 1
O53 0.072 0.747 0.158 1
O54 0.006 0.775 0.934 1
O55 0.999 0.788 0.750 1
O56 0.252 0.925 0.655 1
O57 0.207 0.999 0.433 1
O58 0.214 0.999 0.250 1

***

[3]
# Li5V3P8O29, optimized geometry, DFT GGA+U
# Space-group type: P1
# Total magnetic moment: 2.000 μB per formula unit
# Calculated formation energy: -2619 meV/atom
data_Li5V3P8O29
_chemical_formula_sum 'Li10 V6 P16 O58'
_cell_length_a 9.791
_cell_length_b 9.800
_cell_length_c 14.104
_cell_angle_alpha 89.56
_cell_angle_beta 89.37
_cell_angle_gamma 60.22
_space_group_name_H-M_alt 'P 1'
_space_group_IT_number 1
loop_
_space_group_symop_operation_xyz
'x,y,z'
loop_
_atom_site_label
_atom_site_fract_x
_atom_site_fract_y
_atom_site_fract_z
_atom_site_occupancy
Li1 0.091 0.679 0.563 1
Li2 0.319 0.327 0.889 1
Li3 0.233 0.678 0.059 1
Li4 0.679 0.090 0.061 1
Li5 0.314 0.777 0.443 1
Li6 0.682 0.229 0.563 1
Li7 0.331 0.905 0.937 1
Li8 0.915 0.310 0.440 1
Li9 0.772 0.908 0.443 1
Li10 0.964 0.063 0.995 1
V1 0.434 0.566 0.250 1
V2 0.573 0.436 0.753 1
V3 0.432 0.002 0.745 1
V4 0.566 0.999 0.250 1
V5 0.004 0.432 0.241 1
V6 0.996 0.565 0.757 1
P1 0.085 0.217 0.840 1
P2 0.226 0.087 0.336 1
P3 0.086 0.678 0.345 1
P4 0.336 0.336 0.126 1
P5 0.337 0.338 0.631 1
P6 0.227 0.681 0.841 1
P7 0.318 0.770 0.659 1
P8 0.682 0.092 0.843 1
P9 0.317 0.913 0.154 1
P10 0.677 0.233 0.344 1
P11 0.777 0.308 0.161 1
P12 0.672 0.662 0.367 1
P13 0.661 0.673 0.872 1
P14 0.916 0.317 0.656 1
P15 0.771 0.910 0.661 1
P16 0.918 0.777 0.161 1
O1 0.987 0.244 0.564 1
O2 0.082 0.257 0.336 1
O3 0.236 0.978 0.062 1
O4 0.255 0.077 0.839 1
O5 0.099 0.370 0.832 1
O6 0.189 0.330 0.172 1
O7 0.096 0.520 0.321 1
O8 0.010 0.787 0.079 1
O9 0.087 0.653 0.843 1
O10 0.342 0.187 0.677 1
O11 0.380 0.095 0.319 1
O12 0.187 0.484 0.674 1
O13 0.326 0.340 0.020 1
O14 0.343 0.337 0.526 1
O15 0.323 0.491 0.164 1
O16 0.519 0.103 0.834 1
O17 0.488 0.189 0.162 1
O18 0.251 0.663 0.343 1
O19 0.206 0.788 0.749 1
O20 0.244 0.752 0.570 1
O21 0.236 0.765 0.928 1
O22 0.379 0.518 0.828 1
O23 0.488 0.336 0.672 1
O24 0.340 0.743 0.167 1
O25 0.516 0.379 0.321 1
O26 0.662 0.083 0.343 1
O27 0.201 0.013 0.240 1
O28 0.232 0.993 0.420 1
O29 0.759 0.001 0.571 1
O30 0.342 0.911 0.659 1
O31 0.476 0.618 0.680 1
O32 0.655 0.263 0.833 1
O33 0.519 0.667 0.329 1
O34 0.620 0.461 0.167 1
O35 0.797 0.199 0.082 1
O36 0.745 0.252 0.435 1
O37 0.797 0.212 0.260 1
O38 0.746 0.340 0.665 1
O39 0.513 0.821 0.830 1
O40 0.473 0.909 0.169 1
O41 0.662 0.524 0.824 1
O42 0.650 0.668 0.977 1
O43 0.681 0.650 0.473 1
O44 0.819 0.515 0.320 1
O45 0.625 0.894 0.677 1
O46 0.674 0.814 0.330 1
O47 0.918 0.341 0.164 1
O48 0.010 0.201 0.742 1
O49 0.992 0.209 0.922 1
O50 0.909 0.475 0.676 1
O51 0.811 0.669 0.830 1
O52 0.917 0.618 0.170 1
O53 0.746 0.916 0.162 1
O54 0.769 0.021 0.933 1
O55 0.787 0.003 0.751 1
O56 0.922 0.749 0.663 1
O57 0.999 0.748 0.436 1
O58 0.988 0.797 0.260 1

***

[4]
# LiVP2O7, optimized geometry, DFT GGA+U
# Space-group type: P1
# Total magnetic moment: 0.000 μB per formula unit
# Calculated formation energy: -2678 meV/atom
data_LiVP2O7
_chemical_formula_sum 'Li2 V2 P4 O14'
_cell_length_a 5.274
_cell_length_b 5.364
_cell_length_c 9.075
_cell_angle_alpha 82.42
_cell_angle_beta 98.06
_cell_angle_gamma 75.85
_space_group_name_H-M_alt 'P 1'
_space_group_IT_number 1
loop_
_space_group_symop_operation_xyz
'x,y,z'
loop_
_atom_site_label
_atom_site_fract_x
_atom_site_fract_y
_atom_site_fract_z
_atom_site_occupancy
Li1 0.703 0.691 0.499 1
Li2 0.317 0.289 0.990 1
V1 0.319 0.323 0.498 1
V2 0.674 0.684 0.001 1
P1 0.220 0.786 0.702 1
P2 0.215 0.782 0.205 1
P3 0.776 0.210 0.799 1
P4 0.785 0.227 0.297 1
O1 0.362 0.953 0.612 1
O2 0.039 0.646 0.113 1
O3 0.099 0.612 0.607 1
O4 0.390 0.899 0.109 1
O5 0.386 0.628 0.854 1
O6 0.376 0.618 0.355 1
O7 0.983 0.977 0.753 1
O8 0.019 0.013 0.257 1
O9 0.620 0.370 0.645 1
O10 0.626 0.376 0.143 1
O11 0.616 0.064 0.891 1
O12 0.938 0.382 0.389 1
O13 0.918 0.372 0.890 1
O14 0.616 0.096 0.390 1

***

[5]
# Li2VPO6, optimized geometry, DFT GGA+U
# Space-group type: Pna2_1
# Total magnetic moment: 0.000 μB per formula unit
# Calculated formation energy: -2572 meV/atom
# Largest piezoelectric modulus: 0.6 C/m2
data_Li2VPO6
_chemical_formula_sum 'Li8 V4 P4 O24'
_cell_length_a 4.702
_cell_length_b 8.651
_cell_length_c 10.506
_cell_angle_alpha 90.00
_cell_angle_beta 90.00
_cell_angle_gamma 90.00
_space_group_name_H-M_alt 'P 1'
_space_group_IT_number 1
loop_
_space_group_symop_operation_xyz
'x,y,z'
loop_
_atom_site_label
_atom_site_fract_x
_atom_site_fract_y
_atom_site_fract_z
_atom_site_occupancy
Li1 0.978 0.826 0.913 1
Li2 0.022 0.326 0.087 1
Li3 0.478 0.326 0.587 1
Li4 0.522 0.826 0.413 1
Li5 0.466 0.123 0.866 1
Li6 0.534 0.623 0.134 1
Li7 0.966 0.623 0.634 1
Li8 0.034 0.123 0.366 1
V1 0.483 0.005 0.111 1
V2 0.517 0.505 0.889 1
V3 0.983 0.505 0.389 1
V4 0.017 0.005 0.611 1
P1 0.415 0.808 0.718 1
P2 0.585 0.308 0.282 1
P3 0.915 0.308 0.782 1
P4 0.085 0.808 0.218 1
O1 0.312 0.652 0.780 1
O2 0.688 0.152 0.220 1
O3 0.812 0.152 0.720 1
O4 0.188 0.652 0.280 1
O5 0.265 0.814 0.584 1
O6 0.735 0.314 0.416 1
O7 0.765 0.314 0.916 1
O8 0.235 0.814 0.084 1
O9 0.761 0.817 0.215 1
O10 0.239 0.317 0.785 1
O11 0.261 0.317 0.285 1
O12 0.739 0.817 0.715 1
O13 0.261 0.944 0.787 1
O14 0.739 0.444 0.213 1
O15 0.761 0.444 0.713 1
O16 0.239 0.944 0.287 1
O17 0.703 0.975 0.989 1
O18 0.297 0.475 0.011 1
O19 0.203 0.475 0.511 1
O20 0.797 0.975 0.489 1
O21 0.255 0.132 0.049 1
O22 0.745 0.632 0.951 1
O23 0.755 0.632 0.451 1
O24 0.245 0.132 0.549 1